(1)
Compound: NpBe13
Source: the Materials Project
Functional: meta-GGA r2SCAN
Structure: relaxed Values from VASP.

Properties
For the total energy, the calculation gives -283.2 eV for the cell shown. Its crystal system is orthorhombic. Its space group is Ibam. The energy of formation from the pure elements comes out at -0.16 eV per atom.

The structure in Quantum ESPRESSO input format:
```
&SYSTEM
  ibrav = 0, nat = 28, ntyp = 2
/
ATOMIC_SPECIES
Np 237.00 Np.upf
Be 9.01 Be.upf
CELL_PARAMETERS angstrom
-3.614 3.629 5.135
3.614 -3.629 5.135
3.614 3.629 -5.135
ATOMIC_POSITIONS angstrom
Np 0.000 0.000 2.567
Np 0.000 0.000 7.702
Be 3.614 0.000 0.000
Be 5.720 0.445 0.000
Be 2.792 -0.823 1.805
Be 2.341 1.280 -1.168
Be 2.341 -1.280 3.966
Be 0.454 1.535 0.000
Be 4.435 -0.823 3.330
Be 4.068 2.094 0.000
Be 4.435 0.823 1.805
Be 2.341 1.280 1.168
Be 2.341 -1.280 6.303
Be 2.792 0.823 3.330
Be 2.106 3.184 0.000
Be 0.000 3.629 0.000
Be 1.508 0.445 5.135
Be 0.821 2.806 1.805
Be 1.272 4.909 -1.168
Be 1.272 2.349 3.966
Be -0.821 2.806 3.330
Be -0.454 1.535 5.135
Be -0.821 4.452 1.805
Be 3.159 2.094 5.135
Be 1.272 4.909 1.168
Be 1.272 2.349 6.303
Be 0.821 4.452 3.330
Be -2.106 3.184 5.135
```

---

(2)
Compound: BeO
Source: the Materials Project
Functional: meta-GGA r2SCAN
Structure: relaxed Values from VASP.

Properties
For the total energy, the calculation gives -32.6 eV for the cell shown. Its crystal system is hexagonal. Its space group is P6_3mc. The energy of formation from the pure elements comes out at -3.00 eV per atom.

The structure in Quantum ESPRESSO input format:
```
&SYSTEM
  ibrav = 0, nat = 4, ntyp = 2
/
ATOMIC_SPECIES
Be 9.01 Be.upf
O 16.00 O.upf
CELL_PARAMETERS angstrom
2.694 0.000 0.000
-1.347 2.333 0.000
0.000 0.000 4.376
ATOMIC_POSITIONS angstrom
Be 0.000 1.556 0.000
Be 1.347 0.778 2.188
O 0.000 1.556 1.651
O 1.347 0.778 3.839
```